*A*
HfCrAgS4: optimized geometry, PBE-GGA.

abc: 6.1100 3.5989 6.5549
angles: 90.00 91.53 90.00
Closest atoms and distances in Å follow each position.
Sites, in units of the cell vectors:
Hf (0.0000, 0.0000, 0.0000)  6 S 2.53
Cr (0.5000, 0.5000, 0.0000)  6 S 2.45
Ag (0.5000, 0.5000, 0.5000)  6 S 2.65-2.81
S (0.1799, 0.5000, 0.2184)  1 Cr 2.45, 2 Hf 2.53, 1 Ag 2.65
S (0.3412, 0.0000, 0.7892)  2 Cr 2.45, 1 Hf 2.53
S (0.6588, 0.0000, 0.2108)  2 Cr 2.45, 1 Hf 2.53
S (0.8201, 0.5000, 0.7816)  1 Cr 2.45, 2 Hf 2.53, 1 Ag 2.65

* V: 144 Å³/cell
* spin magnetization: 3.0 μB/f.u.
* crystal system: monoclinic
* theoretical density: 5378 kg/m³

***

*B*
HfCrAgS4: optimized geometry, PBE-GGA.

abc: 6.6119 7.7478 12.8219
angles: 98.28 94.57 90.15
Closest atoms and distances in Å follow each position.
Sites, in units of the cell vectors:
Hf (0.1443, 0.2036, 0.3038)  4 S 2.38-2.46
Hf (0.2415, 0.3811, 0.9988)  6 S 2.48-2.63
Hf (0.7585, 0.6189, 0.0012)  6 S 2.48-2.63
Hf (0.8557, 0.7964, 0.6962)  4 S 2.38-2.46
Cr (0.3612, 0.0556, 0.7036)  4 S 2.21-2.34
Cr (0.3633, 0.5466, 0.7008)  4 S 2.25-2.35
Cr (0.6367, 0.4534, 0.2992)  4 S 2.25-2.35
Cr (0.6388, 0.9444, 0.2964)  4 S 2.21-2.34
Ag (0.1215, 0.6990, 0.3046)  4 S 2.49-2.54
Ag (0.2650, 0.8738, 0.0004)  6 S 2.69-2.85
Ag (0.7350, 0.1262, 0.9996)  6 S 2.69-2.85
Ag (0.8785, 0.3010, 0.6954)  4 S 2.49-2.54
S (0.0942, 0.6408, 0.1044)  2 Hf 2.48-2.50, 2 Ag 2.53-2.69
S (0.1227, 0.1647, 0.1159)  2 Hf 2.38-2.57
S (0.2028, 0.7874, 0.6387)  2 Cr 2.34-2.35, 1 Hf 2.46
S (0.2285, 0.2818, 0.6364)  2 Cr 2.21-2.25
S (0.3325, 0.4625, 0.3760)  1 Cr 2.30, 1 Hf 2.39, 1 Ag 2.54
S (0.3335, 0.9703, 0.3680)  1 Cr 2.28, 1 Hf 2.41, 1 Ag 2.52
S (0.3751, 0.1088, 0.8787)  1 Cr 2.22
S (0.4153, 0.5759, 0.8847)  1 Cr 2.33, 2 Hf 2.58-2.61
S (0.5847, 0.4241, 0.1153)  1 Cr 2.33, 2 Hf 2.58-2.61
S (0.6249, 0.8912, 0.1213)  1 Cr 2.22
S (0.6665, 0.0297, 0.6320)  1 Cr 2.28, 1 Hf 2.41, 1 Ag 2.52
S (0.6675, 0.5375, 0.6240)  1 Cr 2.30, 1 Hf 2.39, 1 Ag 2.54
S (0.7715, 0.7182, 0.3636)  2 Cr 2.21-2.25
S (0.7972, 0.2126, 0.3613)  2 Cr 2.34-2.35, 1 Hf 2.46
S (0.8773, 0.8353, 0.8841)  2 Hf 2.38-2.57
S (0.9058, 0.3592, 0.8956)  2 Hf 2.48-2.50, 2 Ag 2.53-2.69

* V: 648 Å³/cell
* spin magnetization: 3.0 μB/f.u.
* crystal system: triclinic
* theoretical density: 4784 kg/m³

***

The most stable of them is *A*.

***

*A*
Hg: optimized geometry, PBE-GGA.

abc: 10.5185 13.2669 13.2669
angles: 119.95 90.00 90.00
Closest atoms and distances in Å follow each position.
Sites, in units of the cell vectors:
Hg (0.0000, 0.1264, 0.1264)  6 Hg 3.25-3.33
Hg (0.0002, 0.1266, 0.8765)  6 Hg 3.25-3.34
Hg (0.0000, 0.6266, 0.6266)  6 Hg 3.25-3.34
Hg (0.0001, 0.6266, 0.8769)  6 Hg 3.25-3.34
Hg (0.9998, 0.8765, 0.1266)  6 Hg 3.25-3.34
Hg (0.9999, 0.8769, 0.6266)  6 Hg 3.25-3.34
Hg (0.0021, 0.3781, 0.1275)  5 Hg 3.28-3.34
Hg (0.0021, 0.6258, 0.1274)  5 Hg 3.28-3.33
Hg (0.0026, 0.6255, 0.3745)  5 Hg 3.28-3.34
Hg (0.2500, 0.0432, 0.2098)  6 Hg 3.25-3.28
Hg (0.2500, 0.0428, 0.7097)  6 Hg 3.25-3.28
Hg (0.2500, 0.3769, 0.3760)  14 Hg 3.83-4.26
Hg (0.2500, 0.5431, 0.7095)  6 Hg 3.25-3.29
Hg (0.2500, 0.8754, 0.3759)  14 Hg 3.84-4.26
Hg (0.4974, 0.6255, 0.3745)  5 Hg 3.28-3.34
Hg (0.4979, 0.3781, 0.1275)  5 Hg 3.28-3.34
Hg (0.4979, 0.6258, 0.1274)  5 Hg 3.28-3.33
Hg (0.5000, 0.1264, 0.1264)  6 Hg 3.25-3.33
Hg (0.4998, 0.1266, 0.8765)  6 Hg 3.25-3.34
Hg (0.5000, 0.6266, 0.6266)  6 Hg 3.25-3.34
Hg (0.4999, 0.6266, 0.8769)  6 Hg 3.25-3.34
Hg (0.5002, 0.8765, 0.1266)  6 Hg 3.25-3.34
Hg (0.5001, 0.8769, 0.6266)  6 Hg 3.25-3.34
Hg (0.5021, 0.1275, 0.3781)  5 Hg 3.28-3.34
Hg (0.5021, 0.1274, 0.6258)  5 Hg 3.28-3.33
Hg (0.5026, 0.3745, 0.6255)  5 Hg 3.28-3.34
Hg (0.7500, 0.2098, 0.0432)  6 Hg 3.25-3.28
Hg (0.7500, 0.3760, 0.3769)  14 Hg 3.83-4.26
Hg (0.7500, 0.3759, 0.8754)  14 Hg 3.84-4.26
Hg (0.7500, 0.7095, 0.5431)  6 Hg 3.25-3.29
Hg (0.7500, 0.7097, 0.0428)  6 Hg 3.25-3.28
Hg (0.9974, 0.3745, 0.6255)  5 Hg 3.28-3.34
Hg (0.9979, 0.1275, 0.3781)  5 Hg 3.28-3.34
Hg (0.9979, 0.1274, 0.6258)  5 Hg 3.28-3.33

* V: 1604 Å³/cell
* spin magnetization: 0.0 μB/f.u.
* crystal system: orthorhombic
* theoretical density: 7060 kg/m³

***

*B*
Hg: optimized geometry, PBE-GGA.

abc: 3.6065 3.6065 5.6441
angles: 90.00 90.00 121.03
Closest atoms and distances in Å follow each position.
Sites, in units of the cell vectors:
Hg (0.1505, 0.8495, 0.7500)  12 Hg 3.40-3.61
Hg (0.8495, 0.1505, 0.2500)  12 Hg 3.40-3.61

* V: 63 Å³/cell
* crystal system: orthorhombic
* theoretical density: 10590 kg/m³

***

The most stable of them is *B*.

***

*A*
BeH8N2F4: optimized geometry, PBE-GGA.

abc: 7.5137 6.1048 10.5820
angles: 90.00 90.00 90.00
Closest atoms and distances in Å follow each position.
Sites, in units of the cell vectors:
Be (0.2496, 0.2500, 0.0828)  4 F 1.56-1.57
Be (0.2504, 0.7500, 0.5828)  4 F 1.56-1.57
Be (0.7496, 0.2500, 0.4172)  4 F 1.56-1.57
Be (0.7504, 0.7500, 0.9172)  4 F 1.56-1.57
H (0.0029, 0.2500, 0.7149)  1 N 1.03
H (0.0796, 0.2500, 0.8639)  1 N 1.05
H (0.1138, 0.6137, 0.1746)  1 N 1.04
H (0.1138, 0.8863, 0.1746)  1 N 1.04
H (0.1166, 0.2500, 0.3308)  1 N 1.02
H (0.1679, 0.7500, 0.8853)  1 N 1.06
H (0.1697, 0.1125, 0.4634)  1 N 1.03
H (0.1697, 0.3875, 0.4634)  1 N 1.03
H (0.3303, 0.6125, 0.9634)  1 N 1.03
H (0.3303, 0.8875, 0.9634)  1 N 1.03
H (0.3321, 0.2500, 0.3853)  1 N 1.06
H (0.3834, 0.7500, 0.8308)  1 N 1.02
H (0.3862, 0.1137, 0.6746)  1 N 1.04
H (0.3862, 0.3863, 0.6746)  1 N 1.04
H (0.4204, 0.7500, 0.3639)  1 N 1.05
H (0.4971, 0.7500, 0.2149)  1 N 1.03
H (0.5029, 0.2500, 0.7851)  1 N 1.03
H (0.5796, 0.2500, 0.6361)  1 N 1.05
H (0.6138, 0.6137, 0.3254)  1 N 1.04
H (0.6138, 0.8863, 0.3254)  1 N 1.04
H (0.6166, 0.2500, 0.1692)  1 N 1.02
H (0.6679, 0.7500, 0.6147)  1 N 1.06
H (0.6697, 0.1125, 0.0366)  1 N 1.03
H (0.6697, 0.3875, 0.0366)  1 N 1.03
H (0.8303, 0.6125, 0.5366)  1 N 1.03
H (0.8303, 0.8875, 0.5366)  1 N 1.03
H (0.8321, 0.2500, 0.1147)  1 N 1.06
H (0.8834, 0.7500, 0.6692)  1 N 1.02
H (0.8862, 0.1137, 0.8254)  1 N 1.04
H (0.8862, 0.3863, 0.8254)  1 N 1.04
H (0.9204, 0.7500, 0.1361)  1 N 1.05
H (0.9971, 0.7500, 0.2851)  1 N 1.03
N (0.0353, 0.7500, 0.1921)  4 H 1.03-1.05
N (0.1959, 0.2500, 0.4096)  4 H 1.02-1.06
N (0.3041, 0.7500, 0.9096)  4 H 1.02-1.06
N (0.4647, 0.2500, 0.6921)  4 H 1.03-1.05
N (0.5353, 0.7500, 0.3079)  4 H 1.03-1.05
N (0.6959, 0.2500, 0.0904)  4 H 1.02-1.06
N (0.8041, 0.7500, 0.5904)  4 H 1.02-1.06
N (0.9647, 0.2500, 0.8079)  4 H 1.03-1.05
F (0.0450, 0.2500, 0.1140)  1 Be 1.57, 1 H 1.60
F (0.1713, 0.5352, 0.6390)  1 Be 1.56
F (0.1713, 0.9648, 0.6390)  1 Be 1.56
F (0.2183, 0.7500, 0.4370)  1 Be 1.56, 1 H 1.70
F (0.2817, 0.2500, 0.9370)  1 Be 1.56, 1 H 1.70
F (0.3287, 0.0352, 0.1390)  1 Be 1.56
F (0.3287, 0.4648, 0.1390)  1 Be 1.56
F (0.4550, 0.7500, 0.6140)  1 Be 1.57, 1 H 1.60
F (0.5450, 0.2500, 0.3860)  1 Be 1.57, 1 H 1.60
F (0.6713, 0.5352, 0.8610)  1 Be 1.56
F (0.6713, 0.9648, 0.8610)  1 Be 1.56
F (0.7183, 0.7500, 0.0630)  1 Be 1.56, 1 H 1.70
F (0.7817, 0.2500, 0.5630)  1 Be 1.56, 1 H 1.70
F (0.8287, 0.0352, 0.3610)  1 Be 1.56
F (0.8287, 0.4648, 0.3610)  1 Be 1.56
F (0.9550, 0.7500, 0.8860)  1 Be 1.57, 1 H 1.60

* V: 485 Å³/cell
* spin magnetization: 0.0 μB/f.u.
* crystal system: orthorhombic
* theoretical density: 1657 kg/m³

***

*B*
BeH8N2F4: optimized geometry, PBE-GGA.

abc: 7.9893 5.8554 11.0549
angles: 90.00 90.00 90.00
Closest atoms and distances in Å follow each position.
Sites, in units of the cell vectors:
Be (0.0563, 0.2500, 0.1613)  3 F 1.55-1.60
Be (0.4437, 0.7500, 0.6613)  3 F 1.55-1.60
Be (0.5563, 0.2500, 0.3387)  3 F 1.55-1.60
Be (0.9437, 0.7500, 0.8387)  3 F 1.55-1.60
H (0.0023, 0.7500, 0.2195)  1 N 1.03
H (0.0114, 0.2500, 0.6267)  1 N 1.06
H (0.0461, 0.7500, 0.5848)  1 F 1.02
H (0.1559, 0.1078, 0.7062)  1 N 1.03
H (0.1559, 0.3922, 0.7062)  1 N 1.03
H (0.1580, 0.6125, 0.9685)  1 N 1.03
H (0.1580, 0.8875, 0.9685)  1 N 1.03
H (0.2408, 0.7500, 0.8531)  1 N 1.03
H (0.2592, 0.2500, 0.3531)  1 N 1.03
H (0.3420, 0.1125, 0.4685)  1 N 1.03
H (0.3420, 0.3875, 0.4685)  1 N 1.03
H (0.3441, 0.6078, 0.2062)  1 N 1.03
H (0.3441, 0.8922, 0.2062)  1 N 1.03
H (0.4539, 0.2500, 0.0848)  1 F 1.02
H (0.4886, 0.7500, 0.1267)  1 N 1.06
H (0.4977, 0.2500, 0.7195)  1 N 1.03
H (0.5023, 0.7500, 0.2805)  1 N 1.03
H (0.5114, 0.2500, 0.8733)  1 N 1.06
H (0.5461, 0.7500, 0.9152)  1 F 1.02
H (0.6559, 0.1078, 0.7938)  1 N 1.03
H (0.6559, 0.3922, 0.7938)  1 N 1.03
H (0.6580, 0.6125, 0.5315)  1 N 1.03
H (0.6580, 0.8875, 0.5315)  1 N 1.03
H (0.7408, 0.7500, 0.6469)  1 N 1.03
H (0.7592, 0.2500, 0.1469)  1 N 1.03
H (0.8420, 0.1125, 0.0315)  1 N 1.03
H (0.8420, 0.3875, 0.0315)  1 N 1.03
H (0.8441, 0.6078, 0.2938)  1 N 1.03
H (0.8441, 0.8922, 0.2938)  1 N 1.03
H (0.9539, 0.2500, 0.4152)  1 F 1.02
H (0.9886, 0.7500, 0.3733)  1 N 1.06
H (0.9977, 0.2500, 0.7805)  1 N 1.03
N (0.0797, 0.2500, 0.7085)  4 H 1.03-1.06
N (0.1411, 0.7500, 0.9115)  3 H 1.03
N (0.3589, 0.2500, 0.4115)  3 H 1.03
N (0.4203, 0.7500, 0.2085)  4 H 1.03-1.06
N (0.5797, 0.2500, 0.7915)  4 H 1.03-1.06
N (0.6411, 0.7500, 0.5885)  3 H 1.03
N (0.8589, 0.2500, 0.0885)  3 H 1.03
N (0.9203, 0.7500, 0.2915)  4 H 1.03-1.06
F (0.0203, 0.2500, 0.3036)  1 H 1.34
F (0.0888, 0.7500, 0.4983)  1 H 1.02
F (0.1501, 0.0241, 0.1363)  1 Be 1.55
F (0.1501, 0.4759, 0.1363)  1 Be 1.55
F (0.3499, 0.5241, 0.6363)  1 Be 1.55
F (0.3499, 0.9759, 0.6363)  1 Be 1.55
F (0.4112, 0.2500, 0.9983)  1 H 1.02
F (0.4797, 0.7500, 0.8036)  1 H 1.34
F (0.5203, 0.2500, 0.1964)  1 H 1.34
F (0.5888, 0.7500, 0.0017)  1 H 1.02
F (0.6501, 0.0241, 0.3637)  1 Be 1.55
F (0.6501, 0.4759, 0.3637)  1 Be 1.55
F (0.8499, 0.5241, 0.8637)  1 Be 1.55
F (0.8499, 0.9759, 0.8637)  1 Be 1.55
F (0.9112, 0.2500, 0.5017)  1 H 1.02
F (0.9797, 0.7500, 0.6964)  1 H 1.34

* V: 517 Å³/cell
* spin magnetization: 0.0 μB/f.u.
* crystal system: orthorhombic
* theoretical density: 1555 kg/m³

***

The most stable of them is *A*.